Computed, not measured: crystalline Sb2PH3C4F20 at its relaxed geometry at the PBE level of DFT.

POSCAR file:
```
Sb2PH3C4F20
1.0
-0.558 11.366 8.434
-11.732 -5.490 6.622
11.020 -8.635 12.365
C F H P Sb
32 160 24 8 16
Cartesian
2.627 -7.930 16.849 C
3.364 3.074 16.798 C
-0.436 -0.066 17.941 C
-3.832 -4.407 13.185 C
6.387 -4.759 15.660 C
-5.675 -3.028 11.171 C
2.107 -3.146 8.773 C
-0.833 -2.694 9.480 C
5.432 2.640 14.601 C
0.263 -1.735 6.782 C
-0.336 -7.425 17.451 C
5.601 -6.133 13.062 C
-3.376 0.387 18.649 C
8.495 -5.225 13.508 C
2.562 1.648 14.236 C
-3.896 5.171 10.573 C
-8.636 4.822 12.324 C
-6.701 -5.399 12.821 C
-1.532 -1.024 20.639 C
-7.656 2.000 11.761 C
-2.367 -2.421 18.069 C
-0.933 4.666 9.971 C
-2.697 6.083 7.912 C
4.405 0.268 16.250 C
1.098 -0.338 9.353 C
-6.870 3.374 14.359 C
-4.633 -5.833 10.623 C
-1.925 7.495 10.491 C
-9.764 2.466 13.913 C
0.656 -10.254 16.931 C
1.428 -8.842 19.509 C
7.367 -7.581 15.097 C
-0.072 -6.254 18.047 F
-3.424 1.019 6.427 F
-1.024 -5.036 21.210 F
4.685 0.909 20.274 F
5.868 0.186 12.343 F
-8.465 -0.913 7.318 F
5.323 -4.949 12.495 F
4.369 3.343 17.644 F
-3.555 0.704 17.358 F
-5.675 0.097 9.330 F
-5.800 3.826 13.683 F
-4.885 -1.192 7.119 F
3.396 5.226 11.133 F
-9.112 2.286 17.389 F
-0.479 -1.846 20.768 F
4.406 -2.856 18.092 F
4.760 -0.614 15.304 F
6.178 -3.539 15.145 F
-0.790 -0.913 6.653 F
-4.192 2.375 8.728 F
-2.816 -9.096 14.669 F
-3.614 -5.538 13.872 F
-2.626 -1.585 21.184 F
-0.996 -6.774 12.930 F
0.871 4.820 6.299 F
2.344 2.779 13.550 F
-2.343 -0.778 11.943 F
7.135 -2.314 12.343 F
8.318 -1.402 16.871 F
2.154 -3.778 20.995 F
-2.898 8.382 10.219 F
-10.322 5.015 16.035 F
-4.162 0.391 13.688 F
1.195 -5.134 13.056 F
-6.678 -3.207 10.299 F
-3.374 -2.930 18.797 F
4.774 -3.986 20.486 F
7.843 -5.045 10.033 F
-3.728 4.035 16.045 F
1.528 -7.649 20.115 F
-6.509 2.499 11.274 F
-5.925 -5.614 16.162 F
0.975 1.659 3.887 F
5.239 -5.258 16.147 F
1.629 -11.141 17.202 F
0.501 -10.126 15.605 F
5.409 0.448 17.122 F
2.104 0.171 8.624 F
5.394 -4.575 9.060 F
0.009 -2.915 6.198 F
-4.144 -3.407 14.024 F
0.438 -2.587 12.806 F
2.918 4.207 16.230 F
1.498 -0.527 10.622 F
0.373 -9.520 19.998 F
-3.298 -3.362 7.028 F
-6.240 -2.086 5.000 F
7.571 -8.497 14.138 F
2.029 0.603 20.393 F
4.655 2.854 11.260 F
-1.235 -3.824 25.954 F
-7.448 0.780 12.277 F
7.314 -4.702 16.632 F
0.373 -0.874 3.261 F
-0.246 2.277 6.212 F
0.039 0.484 9.317 F
-5.032 0.150 22.408 F
2.293 -0.889 22.600 F
-8.786 -5.611 10.120 F
2.285 -3.463 10.064 F
-1.353 3.017 16.728 F
-6.042 -0.717 16.328 F
2.874 0.648 13.398 F
-1.007 -5.585 7.772 F
2.459 -6.794 11.377 F
-0.773 7.889 9.926 F
-7.236 4.264 15.294 F
-1.642 -1.885 24.160 F
3.305 -0.160 16.893 F
-3.168 1.496 19.375 F
4.530 -6.585 13.739 F
0.084 -5.776 10.694 F
-5.954 -3.669 7.148 F
-6.592 2.190 14.926 F
-5.638 -6.103 9.777 F
-3.590 -5.823 17.445 F
1.400 -7.740 13.664 F
4.772 -2.042 11.093 F
7.196 -1.847 20.104 F
-7.137 -2.945 15.079 F
-5.271 -8.528 13.745 F
-2.798 4.889 7.307 F
-9.192 -3.713 8.263 F
1.547 6.337 12.752 F
3.762 -2.910 5.014 F
-1.642 6.760 7.424 F
2.893 -3.151 13.733 F
4.001 5.769 13.676 F
-1.708 -0.173 14.615 F
-3.562 -1.870 4.822 F
-9.315 -3.019 12.630 F
-0.637 1.303 12.633 F
-1.400 -8.010 18.030 F
-1.770 7.367 11.817 F
3.965 -9.711 14.192 F
-7.564 5.160 11.584 F
1.297 -3.922 23.912 F
9.053 -7.774 11.386 F
3.179 -2.482 8.303 F
-0.704 4.483 11.280 F
-0.565 -7.242 16.142 F
-0.531 3.856 4.061 F
-0.273 4.015 14.491 F
3.616 -1.567 20.302 F
-0.034 1.065 1.468 F
7.516 2.851 17.301 F
-8.583 1.942 10.789 F
-1.198 3.494 9.374 F
-5.234 6.952 13.229 F
-8.840 5.737 13.284 F
-2.464 2.375 14.366 F
5.967 -7.023 12.128 F
-4.574 -2.599 10.528 F
-3.094 1.943 11.786 F
-2.567 1.163 3.510 F
-2.767 -2.232 16.799 F
4.971 -0.674 22.422 F
1.899 -4.255 8.046 F
-2.670 4.981 13.758 F
-1.278 0.156 21.223 F
-6.043 1.227 6.936 F
2.362 2.460 17.449 F
6.295 -7.919 15.837 F
-3.632 -5.219 9.972 F
-6.663 1.816 18.362 F
8.046 0.260 14.791 F
-2.245 -4.418 23.535 F
-2.140 -7.579 21.122 F
1.825 -4.702 15.635 F
-0.632 -4.062 14.788 F
1.782 -2.575 18.622 F
-4.187 -6.966 11.192 F
-9.588 -1.357 10.551 F
1.357 -1.174 6.237 F
1.074 -1.981 15.478 F
-3.051 -0.184 8.799 F
-0.263 2.826 19.650 F
0.131 5.250 9.392 F
7.923 0.954 19.158 F
-6.030 -2.146 12.117 F
-0.497 -10.648 17.496 F
-1.309 -3.244 18.104 F
2.320 3.064 9.976 F
1.474 1.322 14.958 F
-4.448 -0.278 19.118 F
-0.738 -6.615 23.361 F
2.922 -5.134 18.694 F
-4.666 -7.985 16.288 F
-8.404 -0.446 15.079 F
-2.743 -4.082 12.464 F
9.230 -5.021 14.303 H
3.410 -8.702 16.920 H
-1.684 -2.023 9.293 H
-1.017 -3.701 9.074 H
2.374 -7.736 15.796 H
6.246 2.708 15.336 H
-10.134 3.213 14.632 H
-4.680 5.943 10.502 H
-0.675 -0.037 16.865 H
2.915 -7.005 17.371 H
-0.253 0.941 18.347 H
-7.516 -5.467 12.085 H
-0.594 -2.722 10.556 H
8.205 -4.291 13.004 H
5.145 3.644 14.249 H
-6.414 -6.404 13.172 H
-10.500 2.262 13.118 H
-6.967 -4.733 13.656 H
8.865 -5.973 12.790 H
-3.643 4.977 11.625 H
-4.184 4.246 10.050 H
0.415 -0.737 18.128 H
-9.475 1.532 14.417 H
5.697 1.974 13.765 H
-5.295 -4.699 12.002 P
-2.446 5.807 9.779 P
1.176 -8.566 17.642 P
-1.844 -0.735 18.783 P
-8.315 3.133 13.143 P
7.046 -5.892 14.279 P
0.575 -2.024 8.639 P
4.025 1.939 15.419 P
3.302 6.921 12.326 Sb
0.704 -6.902 12.099 Sb
-4.571 -9.681 15.096 Sb
8.966 2.366 18.440 Sb
6.420 -1.104 11.054 Sb
1.126 -3.501 14.333 Sb
-2.396 0.742 13.088 Sb
-7.690 -1.655 16.368 Sb
-1.973 4.142 15.322 Sb
3.250 -3.432 19.486 Sb
-4.519 0.673 7.936 Sb
3.488 0.113 21.513 Sb
-4.758 -2.872 5.908 Sb
0.940 3.308 5.146 Sb
-2.209 -6.067 22.276 Sb
-10.236 -5.125 8.981 Sb
```

Properties
size of the total moment = 0.00 μB per atom
calculated formation energy = -1953 meV/atom
crystal system = orthorhombic
uncorrected energy = -4.946 eV/atom